CsSrTa6Cl18 | r²SCAN | relaxed

Unit cell a=9.3978 b=9.3978 c=17.4472 alpha=90.00 beta=90.00 gamma=120.00
Space group P-31c (No. 163)
Symmetry-distinct sites (fractional):
Cs 0.3333 0.6667 0.2500 (multiplicity 2)
Sr 0.3333 0.6667 0.7500 (multiplicity 2)
Ta 0.0282 0.1919 0.9318 (multiplicity 12)
Cl 0.0324 0.2249 0.1601 (multiplicity 12)
Cl 0.0580 0.4296 0.8445 (multiplicity 12)
Cl 0.1582 0.4165 0.5001 (multiplicity 12)

Uncorrected energy   -18.696 eV/atom
M_tot   0.920 μB/f.u.
Energy relative to the elements   -43.5 eV/f.u.
Crystal system   trigonal